# 1
Eu3Ge2As4 after structural relaxation. Source: the Materials Project, functional GGA-PBE.

Structure (POSCAR):
```
Eu3Ge2As4
1.0
7.519 0.000 0.000
0.000 18.146 0.000
-2.721 0.000 6.951
Eu Ge As
12 8 16
Cartesian
1.630 3.346 0.086
0.270 5.727 3.561
0.520 1.123 3.552
1.881 7.950 0.076
0.593 10.168 3.482
1.954 17.051 0.007
2.845 1.095 6.944
4.205 7.978 3.468
2.918 10.196 6.875
4.278 17.023 3.399
4.529 12.419 3.390
3.168 14.800 6.865
1.486 11.369 0.212
0.125 15.850 3.687
-0.119 13.453 6.363
1.242 13.765 2.888
3.556 4.380 4.063
4.917 4.693 0.588
4.673 2.296 3.264
3.312 6.777 6.739
-2.007 10.132 5.190
-0.646 17.087 1.715
-0.394 12.441 1.549
-1.755 14.777 5.024
1.583 3.539 5.375
2.944 5.534 1.899
3.047 1.188 1.771
1.686 7.885 5.246
3.112 10.261 1.704
1.752 16.958 5.180
1.855 12.612 5.051
3.215 14.607 1.576
6.553 3.368 1.927
5.192 5.705 5.402
5.444 1.059 5.236
6.805 8.014 1.761
```

Summary:
Space-group type: No. 14
Total DFT energy (no corrections): -7.339 eV/atom
Crystal system: monoclinic


# 2
Na2ScGaSiS2O12 after structural relaxation. Source: the Materials Project, functional GGA-PBE.

Structure (POSCAR):
```
Na2ScGaSiS2O12
1.0
8.812 0.000 0.000
-4.405 7.682 0.000
-0.156 -0.340 22.553
Na Sc Ga Si S O
12 6 6 6 12 72
Cartesian
0.000 0.000 0.000
-0.071 -0.168 11.225
-2.789 4.827 5.677
1.107 2.185 20.779
-0.233 4.901 18.765
-0.118 5.040 7.474
2.780 0.253 1.840
-1.352 7.350 16.998
4.300 2.461 3.738
4.295 2.450 14.969
2.793 5.210 9.474
5.464 4.887 13.097
-4.390 7.270 19.202
-4.248 7.458 7.878
-0.154 4.798 22.136
-0.017 4.812 15.382
4.350 2.289 18.322
4.251 7.290 14.517
0.132 0.180 3.354
-0.122 4.934 10.835
0.099 5.085 4.091
4.234 2.567 0.394
4.422 2.337 7.104
4.290 2.495 11.588
5.635 5.080 16.810
-1.708 7.590 5.535
1.281 2.865 1.852
3.054 -0.035 20.624
2.463 4.844 12.975
5.720 4.564 9.344
-1.296 2.132 5.587
-2.629 5.033 1.865
-1.359 2.640 13.045
1.168 1.974 16.882
-1.302 7.205 13.072
1.825 2.401 9.353
1.371 7.346 1.890
5.607 0.195 9.386
3.023 4.473 20.674
3.094 5.361 5.552
1.746 7.415 16.874
6.815 2.224 20.700
-3.499 6.242 1.986
-0.740 1.474 6.778
-0.723 1.325 13.207
-3.438 6.073 18.089
-1.830 4.817 3.096
-1.197 3.493 14.255
-1.082 3.407 20.778
-0.770 3.292 11.856
-1.737 5.337 0.707
-0.696 3.491 5.465
-1.466 4.753 9.541
0.649 1.319 1.961
-2.689 7.206 6.793
-1.543 5.052 16.710
-2.787 7.361 13.188
1.393 -0.074 20.575
0.609 1.373 18.119
0.928 1.236 9.210
0.897 1.145 15.693
1.780 0.153 4.194
-1.135 6.291 11.902
0.710 3.486 0.460
0.594 3.328 16.781
-0.849 6.169 5.324
-0.723 6.158 20.772
0.968 3.798 3.147
-0.768 6.592 14.313
1.007 3.639 9.469
2.625 2.130 10.574
2.654 2.062 16.974
3.266 0.916 21.962
3.609 0.672 19.259
2.685 2.638 8.165
3.592 1.259 5.809
3.751 0.834 12.887
1.571 4.652 14.310
1.542 4.540 20.784
2.940 2.643 1.776
0.626 6.496 9.462
0.648 6.741 3.053
1.542 5.087 11.634
1.622 5.207 5.445
0.877 6.213 16.750
1.130 6.540 0.669
5.027 0.791 8.159
3.265 3.660 19.465
3.480 3.527 12.929
5.159 1.017 1.742
5.240 0.907 16.945
5.322 0.995 10.600
3.755 4.022 5.663
3.638 3.867 21.879
3.300 6.125 6.820
2.555 7.259 18.084
2.835 7.427 2.083
6.972 -0.061 15.667
3.469 6.164 13.068
3.574 5.832 20.553
7.088 0.051 9.263
3.722 6.048 4.396
4.943 3.627 16.958
4.975 3.928 10.657
6.030 2.314 5.671
5.967 2.076 21.894
5.376 3.808 1.637
5.968 2.495 12.915
5.403 3.702 7.961
6.032 2.444 19.466
7.721 1.310 4.357
4.955 6.037 9.228
7.680 1.021 20.562
5.042 5.810 15.458
```

Summary:
Space-group type: No. 1
Total DFT energy (no corrections): -6.524 eV/atom
Crystal system: triclinic


# 3
K2Zn6O7 after structural relaxation. Source: the Materials Project, functional GGA-PBE.

Structure (POSCAR):
```
K2Zn6O7
1.0
11.069 0.000 0.000
0.000 11.069 0.000
0.000 0.000 3.357
K Zn O
4 12 14
Cartesian
1.599 1.599 0.000
3.935 7.134 1.678
7.134 3.935 1.678
9.470 9.470 0.000
0.930 7.237 3.305
1.318 9.751 1.618
1.703 4.604 1.627
3.832 10.139 3.305
4.216 4.216 3.296
4.604 1.703 1.627
6.465 9.367 1.627
6.853 6.853 3.296
7.237 0.930 3.305
9.367 6.465 1.627
9.751 1.318 1.618
10.139 3.832 3.305
0.000 0.000 1.863
0.092 3.465 1.627
2.070 5.626 3.306
2.101 8.968 3.319
3.434 3.434 1.640
3.465 0.092 1.627
5.443 8.999 3.306
5.535 5.535 0.184
5.626 2.070 3.306
7.604 10.977 1.627
7.635 7.635 1.640
8.968 2.101 3.319
8.999 5.443 3.306
10.977 7.604 1.627
```

Summary:
Space-group type: No. 102
Total DFT energy (no corrections): -4.372 eV/atom
Crystal system: tetragonal


# 4
Sr2InBiO6 after structural relaxation. Source: the Materials Project, functional GGA-PBE.

Structure (POSCAR):
```
Sr2InBiO6
1.0
0.000 4.232 4.232
4.232 0.000 4.232
4.232 4.232 0.000
Sr In Bi O
2 1 1 6
Cartesian
2.116 2.116 2.116
6.348 6.348 6.348
0.000 0.000 0.000
4.232 4.232 4.232
4.232 4.232 2.129
4.232 2.129 4.232
6.334 4.232 4.232
2.129 4.232 4.232
4.232 6.334 4.232
4.232 4.232 6.334
```

Summary:
Space-group type: No. 225
Total DFT energy (no corrections): -5.794 eV/atom
Crystal system: cubic


# 5
Tl2SiNi after structural relaxation. Source: the Materials Project, functional GGA-PBE.

Structure (POSCAR):
```
Tl2SiNi
1.0
0.000 3.435 3.435
3.435 0.000 3.435
3.435 3.435 0.000
Tl Si Ni
2 1 1
Cartesian
1.718 1.718 1.718
5.153 5.153 5.153
0.000 0.000 0.000
3.435 3.435 3.435
```

Summary:
Space-group type: No. 225
Total DFT energy (no corrections): -3.358 eV/atom
Crystal system: cubic


# 6
VSi3Mo4 after structural relaxation. Source: the Materials Project, functional GGA-PBE.

Structure (POSCAR):
```
VSi3Mo4
1.0
-4.833 4.833 2.420
4.833 -4.833 2.420
4.833 4.833 -2.420
V Si Mo
2 6 8
Cartesian
4.833 0.000 1.210
0.000 4.833 1.210
6.405 1.572 0.000
0.000 0.000 1.210
1.572 3.260 0.000
3.260 1.572 2.420
0.000 0.000 3.630
-1.572 3.260 2.420
2.188 0.760 0.000
4.072 -2.645 2.420
4.072 2.645 0.000
2.188 -0.760 2.420
2.645 5.593 0.000
0.760 2.188 2.420
0.760 7.478 0.000
2.645 4.072 2.420
```

Summary:
Space-group type: No. 140
Total DFT energy (no corrections): -9.067 eV/atom
Crystal system: tetragonal